Record 1
DFT (PBE-GGA) results for a relaxed structure of Ti3Co20B6.

Cell lengths 10.496, 10.496, 10.496 Å; angles 90.00, 90.00, 90.00 degrees
Space group Fm-3m (No. 225)
Asymmetric unit:
Ti1 0.000 0.000 0.000 [4 per cell]
Ti2 0.250 0.250 0.250 [8 per cell]
Co1 0.000 0.171 0.171 [48 per cell]
Co2 0.117 0.117 0.383 [32 per cell]
B1 0.000 0.000 0.272 [24 per cell]

Results
The formation energy comes out at -0.34 eV per atom. Its size of the total moment is 15.1 μB/f.u.

=====

Record 2
DFT (PBE-GGA) results for a relaxed structure of LaZn2AsO2.

Cell lengths 3.667, 3.667, 12.358 Å; angles 90.00, 90.00, 90.00 degrees
Space group P4/mmm (No. 123)
Asymmetric unit:
La1 0.000 0.000 0.000 [1 per cell]
Zn1 0.000 0.000 0.317 [2 per cell]
As1 0.000 0.000 0.500 [1 per cell]
O1 0.000 0.000 0.173 [2 per cell]

Results
The formation energy comes out at -0.85 eV per atom. The value obtained for the corrected total energy (MP2020 scheme) is -4.5227 eV/atom. Its size of the total moment is 0.2 μB/f.u.

=====

Record 3
DFT (PBE-GGA) results for a relaxed structure of ScInPd2.

Cell lengths 3.346, 3.346, 6.481 Å; angles 90.00, 90.00, 90.00 degrees
Space group P4/mmm (No. 123)
Asymmetric unit:
Sc1 0.000 0.000 0.000 [1 per cell]
In1 0.000 0.000 0.500 [1 per cell]
Pd1 0.500 0.500 0.244 [2 per cell]

Results
The formation energy comes out at -0.76 eV per atom. Its size of the total moment is 0.0 μB/f.u.

=====

Record 4
DFT (PBE-GGA) results for a relaxed structure of SmCd.

Cell lengths 3.821, 3.821, 3.821 Å; angles 90.00, 90.00, 90.00 degrees
Space group Pm-3m (No. 221)
Asymmetric unit:
Sm1 0.000 0.000 0.000 [1 per cell]
Cd1 0.500 0.500 0.500 [1 per cell]

Results
The formation energy comes out at -0.32 eV per atom.

=====

Record 5
DFT (PBE-GGA) results for a relaxed structure of HoMgSb2O6.

Cell lengths 8.291, 5.860, 5.596 Å; angles 90.00, 90.00, 90.00 degrees
Space group Pmn2_1 (No. 31)
Asymmetric unit:
Ho1 0.000 0.180 0.000 [2 per cell]
Mg1 0.000 0.734 0.482 [2 per cell]
Sb1 0.248 0.735 0.986 [4 per cell]
O1 0.000 0.344 0.627 [2 per cell]
O2 0.000 0.826 0.828 [2 per cell]
O3 0.167 0.928 0.290 [4 per cell]
O4 0.179 0.427 0.142 [4 per cell]

Results
The formation energy comes out at -2.38 eV per atom. The value obtained for the corrected total energy (MP2020 scheme) is -6.7883 eV/atom. Its size of the total moment is 0.0 μB/f.u.

=====

Record 6
DFT (PBE-GGA) results for a relaxed structure of CeMgZr7O16.

Cell lengths 7.487, 7.487, 5.468 Å; angles 90.00, 90.00, 90.00 degrees
Space group P-4m2 (No. 115)
Asymmetric unit:
Ce1 0.000 0.000 0.000 [1 per cell]
Mg1 0.000 0.000 0.500 [1 per cell]
Zr1 0.000 0.500 0.988 [2 per cell]
Zr2 0.269 0.269 0.500 [4 per cell]
Zr3 0.500 0.500 0.000 [1 per cell]
O1 0.000 0.228 0.666 [4 per cell]
O2 0.000 0.281 0.202 [4 per cell]
O3 0.231 0.500 0.779 [4 per cell]
O4 0.292 0.500 0.286 [4 per cell]

Results
The formation energy comes out at -3.50 eV per atom. The value obtained for the corrected total energy (MP2020 scheme) is -9.3633 eV/atom. Its size of the total moment is 1.3 μB/f.u.

=====

Record 7
DFT (PBE-GGA) results for a relaxed structure of InCuSnSe4.

Cell lengths 5.900, 5.900, 11.482 Å; angles 90.00, 90.00, 90.00 degrees
Space group I-4 (No. 82)
Asymmetric unit:
In1 0.000 0.000 0.000 [2 per cell]
Cu1 0.000 0.000 0.500 [2 per cell]
Sn1 0.000 0.500 0.250 [2 per cell]
Se1 0.224 0.755 0.627 [8 per cell]

Results
The formation energy comes out at -0.66 eV per atom. The value obtained for the corrected total energy (MP2020 scheme) is -4.2062 eV/atom. Its size of the total moment is 0.0 μB/f.u.

=====

Record 8
DFT (PBE-GGA) results for a relaxed structure of ErCoSn2.

Cell lengths 4.301, 18.793, 4.377 Å; angles 90.00, 90.00, 90.00 degrees
Space group Cmcm (No. 63)
Asymmetric unit:
Er1 0.000 0.118 0.250 [4 per cell]
Co1 0.000 0.323 0.250 [4 per cell]
Sn1 0.000 0.251 0.750 [4 per cell]
Sn2 0.000 0.452 0.250 [4 per cell]

Results
The formation energy comes out at -0.34 eV per atom. Its size of the total moment is 0.0 μB/f.u.